Entry from the Materials Project: a relaxed Ti3Pt crystal (r²SCAN).

abc: 5.0258 5.0258 5.0258
angles: 90.00 90.00 90.00
Fractional coordinates of all 8 atoms:
Ti  0.0000  0.2500  0.5000
Ti  0.0000  0.7500  0.5000
Ti  0.2500  0.5000  0.0000
Ti  0.7500  0.5000  0.0000
Ti  0.5000  0.0000  0.2500
Ti  0.5000  0.0000  0.7500
Pt  0.5000  0.5000  0.5000
Pt  0.0000  0.0000  0.0000

Results
Its space group is No. 223. As for the total moment: 0.00 μB per cell. The total energy is -23.260 eV/atom. For the energy of formation, the calculation gives -2.737 eV per formula unit.